{"formula": "MgTa4As4O20", "functional": "PBE", "state": "optimized geometry", "spacegroup": "No. 6", "ef_ev_per_atom": -2.505, "mass_density_g_cm3": 4.85, "vol_a3_per_fu": 468.7, "crystal_system": "monoclinic", "cell": [[6.990, 0.000, 0.000], [0.000, 5.536, 0.000], [-1.024, 0.000, 12.114]], "species": ["Mg", "Ta", "Ta", "Ta", "Ta", "As", "As", "As", "As", "O", "O", "O", "O", "O", "O", "O", "O", "O", "O", "O", "O", "O", "O", "O", "O", "O", "O", "O", "O"], "frac_coords": [[0.000, 0.000, 0.000], [0.316, 0.000, 0.602], [0.406, 0.000, 0.132], [0.773, 0.500, 0.203], [0.992, 0.500, 0.701], [0.068, 0.000, 0.328], [0.307, 0.500, 0.958], [0.603, 0.500, 0.493], [0.703, 0.000, 0.798], [0.114, 0.500, 0.856], [0.126, 0.000, 0.464], [0.158, 0.250, 0.656], [0.158, 0.750, 0.656], [0.229, 0.225, 0.033], [0.229, 0.775, 0.033], [0.287, 0.000, 0.267], [0.464, 0.000, 0.752], [0.485, 0.248, 0.537], [0.485, 0.752, 0.537], [0.583, 0.250, 0.152], [0.583, 0.750, 0.152], [0.611, 0.500, 0.355], [0.735, 0.000, 0.939], [0.805, 0.252, 0.750], [0.805, 0.748, 0.750], [0.834, 0.500, 0.555], [0.892, 0.500, 0.079], [0.948, 0.248, 0.282], [0.948, 0.752, 0.282]]}